Entry 1:
## Lu2PdO4 (PBE)

Data for Lu2PdO4 after structural relaxation.

```
14
Lattice="-5.008 3.199 2.510 0.132 -4.121 -4.960 -0.947 -4.204 3.467" Properties=species:S:1:pos:R:3 pbc="T T T"
O -4.369 -2.161 -0.888
O -3.260 -1.562 3.832
O -5.133 0.096 0.919
O -1.776 -1.014 -0.228
O -4.047 -4.112 1.245
O -1.455 -2.965 1.905
O -0.690 -5.222 0.097
O -2.563 -3.564 -2.816
Pd 0.000 0.000 0.000
Pd -2.912 -2.563 0.508
Lu -1.172 -5.040 -2.020
Lu -3.268 0.721 -0.018
Lu -1.608 -1.644 -2.432
Lu -4.651 -0.086 3.036
```

Output
DFT total energy = -7.5905 eV per atom
magnetization = 0.0 μB per formula unit

***

Entry 2:
## LuPdO3 (PBE)

Data for LuPdO3 after structural relaxation.

```
5
Lattice="-0.706 3.534 -1.650 -3.564 -1.266 -1.186 -1.584 1.272 3.403" Properties=species:S:1:pos:R:3 pbc="T T T"
Lu 0.000 0.000 0.000
Pd -2.927 1.770 0.284
O -2.574 0.003 1.109
O -1.145 2.403 0.876
O -2.135 1.134 -1.418
```

Output
DFT total energy = -6.2508 eV per atom
magnetization = 0.0 μB per formula unit

***

Entry 3:
## Lu2Pt2O7 (PBE)

Data for Lu2Pt2O7 after structural relaxation.

```
22
Lattice="3.544 2.473 5.737 -3.621 1.988 5.876 0.384 -3.973 5.971" Properties=species:S:1:pos:R:3 pbc="T T T"
O 0.154 0.244 8.792
O 0.025 2.605 10.372
O 1.738 -0.646 5.680
O 0.283 -2.117 7.213
O 1.569 1.103 3.052
O 2.052 1.492 7.082
O -1.584 0.890 3.113
O -1.745 -1.004 10.503
O 2.267 -0.733 10.425
O 0.178 -1.734 3.155
O -0.025 1.978 5.638
O -1.960 1.221 7.159
O 0.230 0.366 13.188
O -1.415 -0.859 5.741
Lu 0.000 2.292 8.005
Lu 2.002 -0.689 8.052
Lu -1.580 -0.931 8.122
Lu 0.192 0.305 10.990
Pt -1.772 1.055 5.136
Pt 0.038 0.061 2.198
Pt 1.810 1.297 5.067
Pt 0.230 -1.926 5.184
```

Output
DFT total energy = -7.1345 eV per atom

***

Entry 4:
## Rb3LuO3 (PBE)

Data for Rb3LuO3 after structural relaxation.

```
14
Lattice="-2.668 -2.413 -6.338 6.208 -3.112 2.209 -3.153 -5.863 2.795" Properties=species:S:1:pos:R:3 pbc="T T T"
O 2.857 -5.530 -0.967
O -0.027 -6.052 1.985
O -2.469 -5.859 -0.367
O 0.522 -9.936 -1.354
O -0.134 -1.453 0.020
O 0.415 -5.337 -3.319
Rb -2.465 -5.485 -3.228
Rb 0.212 -7.289 -0.816
Rb -0.343 -2.597 -4.099
Rb 2.853 -5.904 1.893
Rb 0.176 -4.100 -0.518
Rb 3.883 -2.929 -0.030
Lu -2.073 -5.958 1.665
Lu 2.461 -5.431 -3.000
```

Output
DFT total energy = -5.1482 eV per atom